a | Material: MgCo2H2O4
Method: DFT, PBE+U
State: relaxed

Calculated values
- Total magnetization: 0.6669 μB/atom

Lattice parameters (Å, degrees): 9.3966 3.2657 3.2657 58.32 90.00 90.00
Last column: nearest neighbours and their distance in Å.
Atoms (fractional coordinates):
Mg1 0.0000 0.0000 0.0000  3 H 1.86-1.88
Co1 0.2931 0.3280 0.3280  3 O 1.98-2.06
Co2 0.7069 0.3280 0.3280  3 O 1.98-2.06
H1 0.0000 0.6742 0.6742  2 O 1.18
H2 0.5000 0.9880 0.9880  2 O 1.22
O1 0.1257 0.6696 0.6696  1 H 1.18
O2 0.3704 0.9907 0.9907  1 H 1.22
O3 0.6296 0.9907 0.9907  1 H 1.22
O4 0.8743 0.6696 0.6696  1 H 1.18

---

b | Material: MgCo2H2O4
Method: DFT, PBE+U
State: relaxed

Calculated values
- Total magnetization: 0.6667 μB/atom

Lattice parameters (Å, degrees): 3.2738 9.9884 3.3021 90.00 119.48 90.00
Last column: nearest neighbours and their distance in Å.
Atoms (fractional coordinates):
Mg1 0.0000 0.0000 0.0000  3 H 1.90-1.91
Co1 0.3062 0.3135 0.6860  4 O 1.98-2.01
Co2 0.3062 0.6865 0.6860  4 O 1.98-2.01
H1 0.3297 0.0000 0.6612  2 O 1.16
H2 0.9749 0.5000 0.0253  2 O 1.22
O1 0.3367 0.1158 0.6647  1 H 1.16
O2 0.3367 0.8842 0.6647  1 H 1.16
O3 0.9743 0.3774 0.0244  1 H 1.22
O4 0.9743 0.6226 0.0244  1 H 1.22

---

Here is how they stack up, most stable first: b, a.

---

a | Material: CoP4H10O16
Method: DFT, PBE+U
State: relaxed

Calculated values
- Total magnetization: 0.0968 μB/atom

Lattice parameters (Å, degrees): 7.2209 8.4616 10.6882 98.43 92.28 99.73
Last column: nearest neighbours and their distance in Å.
Atoms (fractional coordinates):
Co1 0.0000 0.0000 0.0000  6 O 2.11-2.17
Co2 0.0000 0.0000 0.5000  6 O 2.11-2.18
P1 0.1743 0.2211 0.2828  4 O 1.53-1.59
P2 0.1738 0.2212 0.7835  4 O 1.53-1.59
P3 0.3192 0.7581 0.5231  4 O 1.52-1.58
P4 0.3201 0.7583 0.0238  4 O 1.52-1.58
P5 0.6799 0.2417 0.9762  4 O 1.52-1.58
P6 0.6808 0.2419 0.4769  4 O 1.52-1.58
P7 0.8262 0.7788 0.2165  4 O 1.53-1.59
P8 0.8257 0.7789 0.7172  4 O 1.53-1.59
H1 0.0833 0.7380 0.3149  1 O 1.03
H2 0.0826 0.7381 0.8168  1 O 1.03
H3 0.1314 0.5962 0.6141  1 O 1.00
H4 0.1320 0.5955 0.1135  1 O 1.00
H5 0.3048 0.9643 0.6687  1 O 1.02
H6 0.3064 0.9645 0.1689  1 O 1.03
H7 0.3722 0.2319 0.9904  1 O 1.05
H8 0.3730 0.2336 0.4903  1 O 1.04
H9 0.4212 0.3367 0.1972  1 O 0.99
H10 0.4211 0.3366 0.6980  1 O 0.99
H11 0.5789 0.6634 0.3020  1 O 0.99
H12 0.5788 0.6633 0.8028  1 O 0.99
H13 0.6270 0.7664 0.5097  1 O 1.04
H14 0.6278 0.7681 0.0096  1 O 1.05
H15 0.6936 0.0355 0.8311  1 O 1.03
H16 0.6952 0.0357 0.3313  1 O 1.02
H17 0.8680 0.4045 0.8865  1 O 1.00
H18 0.8686 0.4038 0.3859  1 O 1.00
H19 0.9174 0.2619 0.1832  1 O 1.03
H20 0.9167 0.2620 0.6851  1 O 1.03
O1 0.0048 0.6942 0.2306  1 H 1.03
O2 0.0046 0.6947 0.7323  1 H 1.03
O3 0.1610 0.0802 0.6739  1 P 1.53, 1 H 1.54
O4 0.1626 0.0798 0.1734  1 P 1.53, 1 H 1.54
O5 0.1813 0.8250 0.4422  1 P 1.52, 1 H 1.53
O6 0.1810 0.8254 0.9440  1 P 1.52, 1 H 1.53
O7 0.1835 0.1777 0.4168  1 H 1.52, 1 P 1.53
O8 0.1848 0.1764 0.9171  1 H 1.50, 1 P 1.53
O9 0.2310 0.5849 0.5531  1 H 1.00
O10 0.2326 0.5846 0.0532  1 H 1.00
O11 0.3529 0.3545 0.7763  1 H 0.99
O12 0.3537 0.3544 0.2759  1 H 0.99
O13 0.3847 0.8755 0.6496  1 H 1.02
O14 0.3862 0.8754 0.1505  1 H 1.03
O15 0.4989 0.2678 0.0464  1 H 1.05
O16 0.4993 0.2683 0.5463  1 H 1.04
O17 0.5007 0.7317 0.4537  1 H 1.04
O18 0.5011 0.7322 0.9536  1 H 1.05
O19 0.6138 0.1246 0.8495  1 H 1.03
O20 0.6153 0.1245 0.3504  1 H 1.02
O21 0.6463 0.6456 0.7241  1 H 0.99
O22 0.6471 0.6455 0.2237  1 H 0.99
O23 0.7674 0.4154 0.9468  1 H 1.00
O24 0.7690 0.4151 0.4469  1 H 1.00
O25 0.8152 0.8236 0.0829  1 H 1.50, 1 P 1.53
O26 0.8165 0.8223 0.5832  1 H 1.52, 1 P 1.53
O27 0.8190 0.1746 0.0560  1 P 1.52, 1 H 1.53
O28 0.8187 0.1750 0.5578  1 P 1.52, 1 H 1.53
O29 0.8374 0.9202 0.8266  1 P 1.53, 1 H 1.54
O30 0.8390 0.9198 0.3261  1 P 1.53, 1 H 1.54
O31 0.9954 0.3053 0.2677  1 H 1.03
O32 0.9952 0.3058 0.7694  1 H 1.03

---

b | Material: CoP4H10O16
Method: DFT, PBE+U
State: relaxed

Calculated values
- Total magnetization: 0.0968 μB/atom

Lattice parameters (Å, degrees): 5.3901 7.5110 7.6403 99.46 98.16 96.35
Last column: nearest neighbours and their distance in Å.
Atoms (fractional coordinates):
Co1 0.0000 0.0000 0.0000  6 O 2.11-2.23
P1 0.0703 0.7260 0.3028  4 O 1.52-1.60
P2 0.4387 0.7532 0.8201  4 O 1.52-1.61
P3 0.5613 0.2468 0.1799  4 O 1.52-1.61
P4 0.9297 0.2740 0.6972  4 O 1.52-1.60
H1 0.0590 0.7822 0.6753  1 O 1.00
H2 0.2341 0.3962 0.5767  1 O 1.01
H3 0.3203 0.4990 0.2908  1 O 1.03
H4 0.3444 0.9655 0.3245  1 O 1.02
H5 0.3690 0.2738 0.9217  1 O 1.01
H6 0.6310 0.7262 0.0783  1 O 1.01
H7 0.6556 0.0345 0.6755  1 O 1.02
H8 0.6797 0.5010 0.7092  1 O 1.03
H9 0.7659 0.6038 0.4233  1 O 1.01
H10 0.9410 0.2178 0.3247  1 O 1.00
O1 0.0717 0.2140 0.8590  1 P 1.52, 1 H 1.60
O2 0.1040 0.2826 0.5449  1 H 1.01
O3 0.1408 0.5315 0.2564  1 H 1.03
O4 0.1717 0.8312 0.7935  1 H 1.00
O5 0.3044 0.8663 0.3976  1 H 1.02
O6 0.3465 0.0933 0.1781  1 P 1.54, 1 H 1.59
O7 0.4321 0.5856 0.6763  1 P 1.52, 2 H 1.55-1.68
O8 0.4498 0.7074 0.0141  1 H 1.01
O9 0.5502 0.2926 0.9859  1 H 1.01
O10 0.5679 0.4144 0.3237  1 P 1.52, 2 H 1.55-1.68
O11 0.6535 0.9067 0.8219  1 P 1.54, 1 H 1.59
O12 0.6956 0.1337 0.6024  1 H 1.02
O13 0.8283 0.1688 0.2065  1 H 1.00
O14 0.8592 0.4685 0.7436  1 H 1.03
O15 0.8960 0.7174 0.4551  1 H 1.01
O16 0.9283 0.7860 0.1410  1 P 1.52, 1 H 1.60

---

Here is how they stack up, most stable first: a, b.

---

a | Material: CoPH3O5
Method: DFT, PBE+U
State: relaxed

Calculated values
- Total magnetization: 0.3000 μB/atom

Lattice parameters (Å, degrees): 9.6487 9.6487 9.6487 112.72 112.72 112.72
Last column: nearest neighbours and their distance in Å.
Atoms (fractional coordinates):
Co1 0.0751 0.7921 0.5409  6 O 2.05-2.21
Co2 0.2079 0.4591 0.9249  6 O 2.05-2.21
Co3 0.4591 0.9249 0.2079  6 O 2.05-2.21
Co4 0.5409 0.0751 0.7921  6 O 2.05-2.21
Co5 0.7921 0.5409 0.0751  6 O 2.05-2.21
Co6 0.9249 0.2079 0.4591  6 O 2.05-2.21
P1 0.2466 0.6893 0.3272  4 O 1.53-1.62
P2 0.3107 0.6728 0.7534  4 O 1.53-1.62
P3 0.3272 0.2466 0.6893  4 O 1.53-1.62
P4 0.6728 0.7534 0.3107  4 O 1.53-1.62
P5 0.6893 0.3272 0.2466  4 O 1.53-1.62
P6 0.7534 0.3107 0.6728  4 O 1.53-1.62
H1 0.0407 0.8395 0.1306  1 O 0.99
H2 0.0875 0.1416 0.3226  1 O 1.00
H3 0.1306 0.0407 0.8395  1 O 0.99
H4 0.1416 0.3226 0.0875  1 O 1.00
H5 0.1605 0.8694 0.9593  1 O 0.99
H6 0.1762 0.4793 0.3831  1 O 1.01
H7 0.3226 0.0875 0.1416  1 O 1.00
H8 0.3831 0.1762 0.4793  1 O 1.01
H9 0.4793 0.3831 0.1762  1 O 1.01
H10 0.5207 0.6169 0.8238  1 O 1.01
H11 0.6169 0.8238 0.5207  1 O 1.01
H12 0.6774 0.9125 0.8584  1 O 1.00
H13 0.8238 0.5207 0.6169  1 O 1.01
H14 0.8395 0.1306 0.0407  1 O 0.99
H15 0.8584 0.6774 0.9125  1 O 1.00
H16 0.8694 0.9593 0.1605  1 O 0.99
H17 0.9125 0.8584 0.6774  1 O 1.00
H18 0.9593 0.1605 0.8694  1 O 0.99
O1 0.0449 0.8983 0.7529  2 H 0.99-1.00
O2 0.0855 0.6976 0.3172  1 P 1.56
O3 0.1017 0.2471 0.9551  2 H 0.99-1.00
O4 0.1468 0.4733 0.5541  1 P 1.53
O5 0.1643 0.2488 0.6747  1 P 1.53
O6 0.1881 0.4882 0.2871  1 H 1.01
O7 0.2471 0.9551 0.1017  2 H 0.99-1.00
O8 0.2488 0.6747 0.1643  1 P 1.53
O9 0.2871 0.1881 0.4882  1 H 1.01
O10 0.3024 0.6828 0.9145  1 P 1.56
O11 0.3172 0.0855 0.6976  1 P 1.56
O12 0.3253 0.8357 0.7512  1 P 1.53
O13 0.4459 0.8532 0.5267  1 P 1.53
O14 0.4733 0.5541 0.1468  1 P 1.53
O15 0.4882 0.2871 0.1881  1 H 1.01
O16 0.5118 0.7129 0.8119  1 H 1.01
O17 0.5267 0.4459 0.8532  1 P 1.53
O18 0.5541 0.1468 0.4733  1 P 1.53
O19 0.6747 0.1643 0.2488  1 P 1.53
O20 0.6828 0.9145 0.3024  1 P 1.56
O21 0.6976 0.3172 0.0855  1 P 1.56
O22 0.7129 0.8119 0.5118  1 H 1.01
O23 0.7512 0.3253 0.8357  1 P 1.53
O24 0.7529 0.0449 0.8983  2 H 0.99-1.00
O25 0.8119 0.5118 0.7129  1 H 1.01
O26 0.8357 0.7512 0.3253  1 P 1.53
O27 0.8532 0.5267 0.4459  1 P 1.53
O28 0.8983 0.7529 0.0449  2 H 0.99-1.00
O29 0.9145 0.3024 0.6828  1 P 1.56
O30 0.9551 0.1017 0.2471  2 H 0.99-1.00

---

b | Material: CoPH3O5
Method: DFT, PBE+U
State: relaxed

Calculated values
- Total magnetization: 0.3000 μB/atom

Lattice parameters (Å, degrees): 8.3486 9.7915 9.9187 109.31 101.97 110.52
Last column: nearest neighbours and their distance in Å.
Atoms (fractional coordinates):
Co1 0.0000 0.0000 0.0000  4 O 1.97-2.04
Co2 0.1097 0.4516 0.6877  2 O 1.67-1.87
Co3 0.2773 0.9558 0.5813  1 H 1.47
Co4 0.3968 0.1184 0.1326  2 H 1.97-2.14, 4 O 2.02-2.14
Co5 0.6253 0.9833 0.0982  1 H 1.48
Co6 0.7979 0.4920 0.8355  4 O 1.90-2.01
P1 0.0312 0.2309 0.3335  5 O 1.59-1.73
P2 0.1412 0.7616 0.0095  5 O 1.68-1.74
P3 0.1892 0.3146 0.9393  4 O 1.51-1.61
P4 0.5448 0.6627 0.7439  4 O 1.50-1.64
P5 0.5794 0.1144 0.4691  4 O 1.53-1.62
P6 0.5820 0.1893 0.8829  4 O 1.51-1.66
H1 0.0023 0.5380 0.2536  1 O 0.98
H2 0.0647 0.1224 0.4853  1 O 0.98
H3 0.0878 0.8900 0.4751  1 Co 1.47
H4 0.1369 0.8348 0.7647  1 O 1.04
H5 0.1546 0.9843 0.2513  1 O 0.98
H6 0.2240 0.7348 0.6644  1 O 0.98
H7 0.2941 0.6558 0.1214  1 O 0.99
H8 0.3079 0.3848 0.3664  1 O 0.98
H9 0.4829 0.3699 0.1882  1 H 0.78
H10 0.5499 0.3561 0.2429  1 H 0.78
H11 0.6311 0.8568 0.1459  1 Co 1.48
H12 0.6668 0.9303 0.8338  1 O 1.03
H13 0.6769 0.6572 0.5779  1 O 0.98
H14 0.7000 0.9448 0.3954  1 O 0.98
H15 0.7188 0.0917 0.7267  1 O 0.98
H16 0.9392 0.4154 0.4249  1 O 1.03
H17 0.9557 0.6558 0.2022  1 O 0.99
H18 0.9949 0.4085 0.9802  1 O 0.98
O1 0.0245 0.3250 0.9947  1 H 0.98
O2 0.0522 0.8215 0.8833  1 H 1.51
O3 0.0667 0.5653 0.8709  1 P 1.74
O4 0.1376 0.3013 0.7723  1 P 1.57
O5 0.1633 0.3539 0.5182  1 P 1.67, 1 Co 1.87
O6 0.1701 0.1495 0.9432  1 P 1.58
O7 0.1731 0.9706 0.1537  1 H 0.98
O8 0.1949 0.8267 0.6808  2 H 0.98-1.04
O9 0.2080 0.2838 0.2818  1 H 0.98
O10 0.2390 0.7296 0.1540  1 H 0.99
O11 0.3539 0.8749 0.0146  1 P 1.71
O12 0.3593 0.6457 0.7428  1 P 1.50
O13 0.3710 0.4579 0.0500  1 P 1.51
O14 0.3752 0.0242 0.4512  1 P 1.56
O15 0.4030 0.1548 0.7707  1 P 1.51
O16 0.5637 0.6616 0.5860  1 H 0.98
O17 0.5688 0.1436 0.0158  1 P 1.54
O18 0.5812 0.1302 0.3191  1 P 1.55
O19 0.6057 0.5459 0.7769  1 P 1.50
O20 0.6501 0.0592 0.7894  1 H 0.98
O21 0.6734 0.9977 0.4844  1 H 0.98
O22 0.6890 0.8494 0.8714  1 H 1.03
O23 0.6920 0.2697 0.6190  1 P 1.53
O24 0.7268 0.3640 0.9415  1 P 1.53
O25 0.8915 0.0875 0.1477  1 P 1.73
O26 0.9166 0.3289 0.3193  1 H 1.03
O27 0.9364 0.6871 0.0266  1 P 1.68, 1 H 1.85
O28 0.9693 0.6267 0.2888  2 H 0.98-0.99
O29 0.9794 0.5086 0.5899  1 H 1.48
O30 0.9936 0.0734 0.3746  1 H 0.98

---

Here is how they stack up, most stable first: a, b.